Entry 1:
Tl5Se3: optimized geometry, PBE.

## Properties
- E (MP2020): -3.299 eV per atom
- Crystal system: tetragonal
- Excess energy over the best structure of this formula in the dataset: 0.0 meV per atom

```
data_Tl5Se3
_chemical_formula_sum 'Tl20 Se12'
_symmetry_space_group_name_H-M 'P 4/n'
_symmetry_Int_Tables_number 85
_cell_length_a 8.490
_cell_length_b 8.490
_cell_length_c 13.592
_cell_angle_alpha 90.00
_cell_angle_beta 90.00
_cell_angle_gamma 90.00
loop_
_symmetry_equiv_pos_as_xyz
'x,y,z'
'-x,-y,-z'
'-y+1/2,x,z'
'y+1/2,-x,-z'
'-x+1/2,-y+1/2,z'
'x+1/2,y+1/2,-z'
'y,-x+1/2,z'
'-y,x+1/2,-z'
loop_
_atom_site_label
_atom_site_fract_x
_atom_site_fract_y
_atom_site_fract_z
_atom_site_occupancy
Tl1 0.074 0.871 0.099 1
Tl2 0.081 0.625 0.600 1
Tl3 0.250 0.250 0.209 1
Tl4 0.250 0.250 0.708 1
Se1 0.069 0.599 0.254 1
Se2 0.250 0.250 0.499 1
Se3 0.250 0.250 0.984 1
```

***

Entry 2:
SbH8N2F5: optimized geometry, PBE.

## Properties
- E (MP2020): -5.006 eV per atom
- Spin magnetization: 0.001 Bohr magnetons per cell
- Crystal system: monoclinic

```
data_SbH8N2F5
_chemical_formula_sum 'Sb2 H16 N4 F10'
_symmetry_space_group_name_H-M 'P 1 21/m 1'
_symmetry_Int_Tables_number 11
_cell_length_a 6.449
_cell_length_b 6.799
_cell_length_c 8.217
_cell_angle_alpha 90.00
_cell_angle_beta 111.55
_cell_angle_gamma 90.00
loop_
_symmetry_equiv_pos_as_xyz
'x,y,z'
'-x,-y,-z'
'-x,y+1/2,-z'
'x,-y+1/2,z'
loop_
_atom_site_label
_atom_site_fract_x
_atom_site_fract_y
_atom_site_fract_z
_atom_site_occupancy
Sb1 0.093 0.250 0.181 1
H1 0.152 0.750 0.567 1
H2 0.206 0.626 0.410 1
H3 0.279 0.250 0.825 1
H4 0.411 0.750 0.563 1
H5 0.490 0.625 0.170 1
H6 0.493 0.750 0.991 1
N1 0.244 0.750 0.487 1
N2 0.450 0.250 0.875 1
F1 0.104 0.539 0.763 1
F2 0.226 0.250 0.440 1
F3 0.355 0.035 0.235 1
```

***

Entry 3:
BaTbEuBiO6: optimized geometry, PBE.

## Properties
- E (MP2020): -7.859 eV per atom
- Spin magnetization: 13.648 Bohr magnetons per cell
- Crystal system: orthorhombic
- Excess energy over the best structure of this formula in the dataset: 18.0 meV per atom

```
data_BaTbEuBiO6
_chemical_formula_sum 'Ba4 Tb4 Eu4 Bi4 O24'
_symmetry_space_group_name_H-M 'P 2 2 2'
_symmetry_Int_Tables_number 16
_cell_length_a 8.687
_cell_length_b 8.702
_cell_length_c 8.778
_cell_angle_alpha 90.00
_cell_angle_beta 90.00
_cell_angle_gamma 90.00
loop_
_symmetry_equiv_pos_as_xyz
'x,y,z'
'-x,-y,z'
'x,-y,-z'
'-x,y,-z'
loop_
_atom_site_label
_atom_site_fract_x
_atom_site_fract_y
_atom_site_fract_z
_atom_site_occupancy
Ba1 0.000 0.000 0.000 1
Ba2 0.000 0.000 0.500 1
Ba3 0.500 0.000 0.000 1
Ba4 0.500 0.500 0.500 1
Tb1 0.250 0.251 0.250 1
Eu1 0.000 0.500 0.000 1
Eu2 0.000 0.500 0.500 1
Eu3 0.500 0.000 0.500 1
Eu4 0.500 0.500 0.000 1
Bi1 0.250 0.251 0.750 1
O1 0.004 0.214 0.717 1
O2 0.205 0.292 0.996 1
O3 0.208 0.496 0.704 1
O4 0.283 0.004 0.787 1
O5 0.297 0.210 0.504 1
O6 0.496 0.297 0.791 1
```

***

Entry 4:
ZnP2: optimized geometry, PBE.

## Properties
- Piezoelectric modulus e_max: 0.01 C/m²
- Spin magnetization: 0.000 Bohr magnetons per cell
- Crystal system: tetragonal

```
data_ZnP2
_chemical_formula_sum 'Zn8 P16'
_symmetry_space_group_name_H-M 'P 41 21 2'
_symmetry_Int_Tables_number 92
_cell_length_a 5.102
_cell_length_b 5.102
_cell_length_c 18.627
_cell_angle_alpha 90.00
_cell_angle_beta 90.00
_cell_angle_gamma 90.00
loop_
_symmetry_equiv_pos_as_xyz
'x,y,z'
'-y+1/2,x+1/2,z+1/4'
'-x,-y,z+1/2'
'y+1/2,-x+1/2,z+3/4'
'x+1/2,-y+1/2,-z+3/4'
'-y,-x,-z+1/2'
'-x+1/2,y+1/2,-z+1/4'
'y,x,-z'
loop_
_atom_site_label
_atom_site_fract_x
_atom_site_fract_y
_atom_site_fract_z
_atom_site_occupancy
Zn1 0.136 0.346 0.301 1
P1 0.010 0.019 0.126 1
P2 0.182 0.699 0.060 1
```

***

Entry 5:
SiO2: optimized geometry, PBE.

## Properties
- E (MP2020): -8.342 eV per atom
- Crystal system: tetragonal

```
data_SiO2
_chemical_formula_sum 'Si20 O40'
_symmetry_space_group_name_H-M 'P 4/m c c'
_symmetry_Int_Tables_number 124
_symmetry_space_group_name_Hall '-P 4 2c'
_cell_length_a 8.645
_cell_length_b 8.645
_cell_length_c 14.035
_cell_angle_alpha 90.00
_cell_angle_beta 90.00
_cell_angle_gamma 90.00
loop_
_atom_site_label
_atom_site_fract_x
_atom_site_fract_y
_atom_site_fract_z
_atom_site_occupancy
Si1 0.000 0.500 0.250 1
Si2 0.070 0.248 0.110 1
O1 0.087 0.304 0.000 1
O2 0.107 0.190 0.369 1
O3 0.108 0.392 0.181 1
```

***

Entry 6:
GdNi2As2: optimized geometry, PBE.

## Properties
- Crystal system: tetragonal

```
data_GdNi2As2
_chemical_formula_sum 'Gd2 Ni4 As4'
_symmetry_space_group_name_H-M 'I 4/m m m'
_symmetry_Int_Tables_number 139
_symmetry_space_group_name_Hall '-I 4 2'
_cell_length_a 4.053
_cell_length_b 4.053
_cell_length_c 9.969
_cell_angle_alpha 90.00
_cell_angle_beta 90.00
_cell_angle_gamma 90.00
loop_
_atom_site_label
_atom_site_fract_x
_atom_site_fract_y
_atom_site_fract_z
_atom_site_occupancy
Gd1 0.000 0.000 0.000 1
Ni1 0.000 0.500 0.250 1
As1 0.000 0.000 0.371 1
```

***

Entry 7:
Al4Si2HO9F3: optimized geometry, PBE.

## Properties
- E (MP2020): -7.495 eV per atom
- Spin magnetization: 0.010 Bohr magnetons per cell
- Crystal system: monoclinic

```
data_Al4Si2HO9F3
_chemical_formula_sum 'Al8 Si4 H2 O18 F6'
_symmetry_space_group_name_H-M 'P 1 c 1'
_symmetry_Int_Tables_number 7
_cell_length_a 4.734
_cell_length_b 8.930
_cell_length_c 9.711
_cell_angle_alpha 90.00
_cell_angle_beta 119.04
_cell_angle_gamma 90.00
loop_
_symmetry_equiv_pos_as_xyz
'x,y,z'
'x,-y,z+1/2'
loop_
_atom_site_label
_atom_site_fract_x
_atom_site_fract_y
_atom_site_fract_z
_atom_site_occupancy
Al1 0.000 0.118 0.000 1
Al2 0.311 0.382 0.499 1
Al3 0.667 0.120 0.662 1
Al4 0.976 0.381 0.165 1
Si1 0.342 0.310 0.833 1
Si2 0.639 0.193 0.332 1
H1 0.137 0.016 0.250 1
O1 0.039 0.218 0.834 1
O2 0.276 0.493 0.832 1
O3 0.294 0.241 0.175 1
O4 0.376 0.262 0.675 1
O5 0.603 0.241 0.488 1
O6 0.689 0.008 0.332 1
O7 0.689 0.264 0.989 1
O8 0.944 0.283 0.332 1
O9 0.957 0.002 0.145 1
F1 0.031 0.500 0.027 1
F2 0.333 0.003 0.519 1
F3 0.642 0.499 0.638 1
```

***

Entry 8:
Mg2Nb4Si3S6O36: optimized geometry, PBE.

## Properties
- E (MP2020): -7.639 eV per atom
- Spin magnetization: 0.000 Bohr magnetons per cell
- Crystal system: monoclinic

```
data_Mg2Nb4Si3S6O36
_chemical_formula_sum 'Mg8 Nb16 Si12 S24 O144'
_symmetry_space_group_name_H-M 'C 1 c 1'
_symmetry_Int_Tables_number 9
_cell_length_a 15.281
_cell_length_b 8.858
_cell_length_c 22.761
_cell_angle_alpha 90.00
_cell_angle_beta 90.28
_cell_angle_gamma 90.00
loop_
_symmetry_equiv_pos_as_xyz
'x,y,z'
'x,-y,z+1/2'
'x+1/2,y+1/2,z'
'x+1/2,-y+1/2,z+1/2'
loop_
_atom_site_label
_atom_site_fract_x
_atom_site_fract_y
_atom_site_fract_z
_atom_site_occupancy
Mg1 0.000 0.000 0.000 1
Mg2 0.330 0.006 0.168 1
Nb1 0.164 0.488 0.337 1
Nb2 0.167 0.496 0.121 1
Nb3 0.331 0.005 0.453 1
Nb4 0.499 0.485 0.290 1
Si1 0.000 0.283 0.899 1
Si2 0.134 0.137 0.399 1
Si3 0.308 0.350 0.229 1
S1 0.018 0.357 0.228 1
S2 0.165 0.215 0.728 1
S3 0.185 0.138 0.064 1
S4 0.332 0.286 0.564 1
S5 0.353 0.358 0.897 1
S6 0.472 0.148 0.064 1
O1 0.011 0.187 0.955 1
O2 0.013 0.192 0.237 1
O3 0.060 0.427 0.281 1
O4 0.061 0.426 0.572 1
O5 0.076 0.386 0.176 1
O6 0.078 0.126 0.456 1
O7 0.080 0.394 0.880 1
O8 0.084 0.119 0.734 1
O9 0.092 0.068 0.338 1
O10 0.097 0.082 0.056 1
O11 0.146 0.311 0.675 1
O12 0.154 0.318 0.384 1
O13 0.175 0.307 0.781 1
O14 0.176 0.314 0.072 1
O15 0.227 0.077 0.115 1
O16 0.235 0.066 0.408 1
O17 0.240 0.119 0.719 1
O18 0.241 0.123 0.011 1
O19 0.245 0.401 0.284 1
O20 0.247 0.380 0.570 1
O21 0.256 0.436 0.172 1
O22 0.263 0.417 0.886 1
O23 0.314 0.189 0.510 1
O24 0.317 0.177 0.220 1
O25 0.342 0.190 0.905 1
O26 0.342 0.193 0.615 1
O27 0.388 0.426 0.949 1
O28 0.400 0.445 0.239 1
O29 0.403 0.390 0.554 1
O30 0.407 0.378 0.843 1
O31 0.413 0.102 0.408 1
O32 0.419 0.113 0.115 1
O33 0.432 0.073 0.010 1
O34 0.433 0.077 0.719 1
O35 0.479 0.318 0.338 1
O36 0.483 0.308 0.054 1
```

***

Entry 9:
ErCu3Te3: optimized geometry, PBE.

## Properties
- E (MP2020): -4.424 eV per atom
- Spin magnetization: 0.000 Bohr magnetons per cell
- Crystal system: trigonal
- Excess energy over the best structure of this formula in the dataset: 47.2 meV per atom

```
data_ErCu3Te3
_chemical_formula_sum 'Er6 Cu18 Te18'
_symmetry_space_group_name_H-M 'R -3'
_symmetry_Int_Tables_number 148
_symmetry_space_group_name_Hall '-R 3'
_cell_length_a 7.4538
_cell_length_b 7.4538
_cell_length_c 20.9466
_cell_angle_alpha 90.00
_cell_angle_beta 90.00
_cell_angle_gamma 120.00
loop_
_atom_site_label
_atom_site_fract_x
_atom_site_fract_y
_atom_site_fract_z
_atom_site_occupancy
Er1 0.0000 0.0000 0.1662 1
Cu1 0.0030 0.6513 0.6251 1
Te1 0.0015 0.6796 0.4183 1
```

***

Entry 10:
HfCoSn: optimized geometry, PBE.

## Properties
- Spin magnetization: 0.656 Bohr magnetons per cell
- Crystal system: hexagonal

```
data_HfCoSn
_chemical_formula_sum 'Hf3 Co3 Sn3'
_symmetry_space_group_name_H-M 'P -6 2 m'
_symmetry_Int_Tables_number 189
_symmetry_space_group_name_Hall 'P -6 -2'
_cell_length_a 6.5556
_cell_length_b 6.5556
_cell_length_c 4.3185
_cell_angle_alpha 90.00
_cell_angle_beta 90.00
_cell_angle_gamma 120.00
loop_
_atom_site_label
_atom_site_fract_x
_atom_site_fract_y
_atom_site_fract_z
_atom_site_occupancy
Hf1 0.0000 0.4682 0.0000 1
Co1 0.0000 0.7648 0.5000 1
Sn1 0.0000 0.0000 0.0000 1
Sn2 0.3333 0.6667 0.5000 1
```

***

| no. | calculated formation energy (kJ per mole of atoms) |
| --- | --- |
| 1 | -49.3 |
| 2 | -136.1 |
| 3 | -272.1 |
| 4 | -24.0 |
| 5 | -312.1 |
| 6 | -75.5 |
| 7 | -319.4 |
| 8 | -239.9 |
| 9 | -64.4 |
| 10 | -24.9 |